Arrangement i

# TiCrCuS4

TiCrCuS4 after structural relaxation (PBE-GGA, Materials Project).

```
14
Lattice="5.9147 0.0000 0.0000 0.0000 3.4463 0.0000 -0.1515 0.0000 11.5112" Properties=species:S:1:pos:R:3 pbc="T T T"
Ti 0.1448 0.0000 2.8166
Ti 5.6184 0.0000 8.6946
Cr 2.8030 1.7232 2.9528
Cr 2.9602 1.7232 8.5584
Cu -0.0758 0.0000 5.7556
Cu 2.9574 1.7232 0.0000
S 0.8861 1.7232 7.3159
S 0.9829 1.7232 1.3655
S 1.9252 0.0000 4.3479
S 1.9139 0.0000 9.9006
S 3.8493 0.0000 1.6106
S 3.8380 0.0000 7.1632
S 4.7803 1.7232 10.1457
S 4.8771 1.7232 4.1953
```

Values from the calculation:
Size of the total moment: 0.429 μB/atom
Calculated volume: 235 Å³ per cell

Arrangement ii

# TiCrCuS4

TiCrCuS4 after structural relaxation (PBE-GGA, Materials Project).

```
14
Lattice="5.7667 0.0000 0.0000 0.0000 3.3875 0.0000 -0.0827 0.0000 11.4977" Properties=species:S:1:pos:R:3 pbc="T T T"
Ti 1.4085 0.8469 0.0549
Ti 4.2755 2.5406 11.4427
Cr 1.7084 0.8469 5.7066
Cr 3.9756 2.5406 5.7910
Cu 1.3177 0.8469 8.5087
Cu 4.3662 2.5406 2.9890
S 0.4772 2.5406 1.5076
S 0.4562 2.5406 6.9105
S 2.3052 2.5406 4.2657
S 2.3069 2.5406 10.0448
S 3.3770 0.8469 1.4529
S 3.3788 0.8469 7.2320
S 5.2278 0.8469 4.5872
S 5.2068 0.8469 9.9900
```

Values from the calculation:
Size of the total moment: 0.180 μB/atom
Calculated volume: 225 Å³ per cell

Which of them is most stable? Easy: arrangement i.

Arrangement i

# Ge

Ge after structural relaxation (PBE-GGA, Materials Project).

```
4
Lattice="4.0504 0.0000 0.0000 -2.0252 3.5078 0.0000 0.0000 0.0000 10.9934" Properties=species:S:1:pos:R:3 pbc="T T T"
Ge 0.0000 0.0000 0.0000
Ge 0.0000 0.0000 5.4967
Ge 0.0000 2.3385 4.8085
Ge 2.0252 1.1692 10.3051
```

Values from the calculation:
Size of the total moment: 0.000 μB/atom
Calculated volume: 156 Å³ per cell

Arrangement ii

# Ge

Ge after structural relaxation (PBE-GGA, Materials Project).

```
4
Lattice="0.0000 2.8857 5.1157 2.6305 0.0000 5.1157 2.6305 2.8857 0.0000" Properties=species:S:1:pos:R:3 pbc="T T T"
Ge 2.6305 2.8857 2.2318
Ge 2.6305 1.5786 5.1157
Ge 2.6305 4.1929 5.1157
Ge 2.6305 2.8857 7.9995
```

Values from the calculation:
Size of the total moment: 0.001 μB/atom
Calculated volume: 78 Å³ per cell

Which of them is most stable? Easy: arrangement ii.

Arrangement i

# Te6MoW3Se2

Te6MoW3Se2 after structural relaxation (PBE-GGA, Materials Project).

```
12
Lattice="3.4980 0.0000 0.0000 -1.7490 3.0294 0.0000 0.0000 0.0000 39.6509" Properties=species:S:1:pos:R:3 pbc="T T T"
Te 0.0000 0.0000 0.0000
Te 0.0000 0.0000 3.6618
Te 0.0000 0.0000 14.8867
Te 0.0000 0.0000 18.5708
Te 0.0000 2.0196 32.1902
Te 0.0000 2.0196 35.8745
Mo 0.0000 2.0196 1.8316
W 0.0000 0.0000 9.2797
W 0.0000 0.0000 34.0314
W 0.0000 2.0196 16.7289
Se 0.0000 2.0196 7.6558
Se 0.0000 2.0196 10.9033
```

Values from the calculation:
Size of the total moment: 0.003 μB/atom
Calculated volume: 420 Å³ per cell

Arrangement ii

# Te6MoW3Se2

Te6MoW3Se2 after structural relaxation (PBE-GGA, Materials Project).

```
12
Lattice="3.5028 0.0000 0.0000 -1.7514 3.0335 0.0000 0.0000 0.0000 39.6537" Properties=species:S:1:pos:R:3 pbc="T T T"
Te 0.0000 0.0000 0.0000
Te 0.0000 0.0000 3.6791
Te 0.0000 0.0000 14.8991
Te 0.0000 0.0000 18.5778
Te 1.7514 1.0112 22.3492
Te 1.7514 1.0112 26.0279
Mo 0.0000 0.0000 9.2892
W 0.0000 0.0000 24.1893
W 1.7514 1.0112 1.8392
W 1.7514 1.0112 16.7379
Se 1.7514 1.0112 7.6708
Se 1.7514 1.0112 10.9074
```

Values from the calculation:
Size of the total moment: 0.000 μB/atom
Calculated volume: 421 Å³ per cell

Which of them is most stable? Easy: arrangement i.

Arrangement i

# Li2FeS2

Li2FeS2 after structural relaxation (PBE-GGA, Materials Project).

```
10
Lattice="3.3757 0.0000 0.0000 0.0000 8.3890 0.0000 -1.9598 0.0000 5.8915" Properties=species:S:1:pos:R:3 pbc="T T T"
Li -0.2504 1.2712 2.6969
Li -1.2303 2.9233 5.6426
Li 2.6461 5.4657 0.2489
Li 1.6662 7.1178 3.1946
Fe 1.6878 0.0000 0.0000
Fe 0.7079 4.1945 2.9457
S -1.0038 5.0458 4.3486
S -0.0238 7.5377 1.4029
S 1.4397 0.8513 4.4886
S 2.4196 3.3432 1.5428
```

Values from the calculation:
Size of the total moment: 0.699 μB/atom
Calculated volume: 167 Å³ per cell

Arrangement ii

# Li2FeS2

Li2FeS2 after structural relaxation (PBE-GGA, Materials Project).

```
10
Lattice="5.7707 0.0000 0.0000 0.0000 5.7707 0.0000 0.0000 0.0000 5.6908" Properties=species:S:1:pos:R:3 pbc="T T T"
Li 0.0000 2.8854 1.4227
Li 0.0000 2.8854 4.2681
Li 2.8854 0.0000 1.4227
Li 2.8854 0.0000 4.2681
Fe 0.0000 0.0000 1.4227
Fe 0.0000 0.0000 4.2681
S 1.3153 1.3153 0.0000
S 1.3153 4.4555 2.8454
S 4.4555 1.3153 2.8454
S 4.4555 4.4555 0.0000
```

Values from the calculation:
Size of the total moment: 0.800 μB/atom
Calculated volume: 190 Å³ per cell

Which of them is most stable? Easy: arrangement ii.

Arrangement i

# Tb3Np

Tb3Np after structural relaxation (PBE-GGA, Materials Project).

```
4
Lattice="4.9425 0.0000 0.0000 0.0000 4.9425 0.0000 0.0000 0.0000 4.9425" Properties=species:S:1:pos:R:3 pbc="T T T"
Tb 0.0000 0.0000 2.4712
Tb 0.0000 2.4712 0.0000
Tb 2.4712 0.0000 0.0000
Np 2.4712 2.4712 2.4712
```

Values from the calculation:
Size of the total moment: 1.073 μB/atom
Calculated volume: 121 Å³ per cell

Arrangement ii

# Tb3Np

Tb3Np after structural relaxation (PBE-GGA, Materials Project).

```
8
Lattice="7.0109 0.0000 0.0000 -3.5054 6.0716 0.0000 0.0000 0.0000 5.6248" Properties=species:S:1:pos:R:3 pbc="T T T"
Tb 0.0000 2.0532 1.4062
Tb -1.7273 5.0450 1.4062
Tb 1.7781 1.0266 4.2186
Tb 1.7273 5.0450 1.4062
Tb 5.2327 1.0266 4.2186
Tb 3.5054 4.0184 4.2186
Np 0.0000 4.0477 4.2186
Np 3.5054 2.0239 1.4062
```

Values from the calculation:
Size of the total moment: 0.082 μB/atom
Calculated volume: 239 Å³ per cell

Which of them is most stable? Easy: arrangement i.

Arrangement i

# MgNb2P2O10

MgNb2P2O10 after structural relaxation (PBE-GGA, Materials Project).

```
15
Lattice="4.8255 -4.6426 0.0000 4.8255 4.6426 0.0000 -0.2130 0.0000 4.4290" Properties=species:S:1:pos:R:3 pbc="T T T"
Mg 0.0000 0.0000 0.0000
Nb 2.2871 0.0000 2.6634
Nb 7.1509 0.0000 1.7656
P 4.7190 2.3020 2.2145
P 4.7190 -2.3020 2.2145
O 3.9409 3.2488 1.2388
O 1.9447 0.0000 0.8940
O 5.4971 3.2488 3.1902
O 3.7182 1.4555 3.0100
O 5.7197 1.4555 1.4190
O 3.7182 -1.4555 3.0100
O 5.7197 -1.4555 1.4190
O 3.9409 -3.2488 1.2388
O 7.4933 0.0000 3.5350
O 5.4971 -3.2488 3.1902
```

Values from the calculation:
Size of the total moment: 0.133 μB/atom
Calculated volume: 198 Å³ per cell

Arrangement ii

# MgNb2P2O10

MgNb2P2O10 after structural relaxation (PBE-GGA, Materials Project).

```
15
Lattice="4.2854 0.0000 0.0000 0.0000 6.5971 0.0000 -0.4212 0.0000 6.8453" Properties=species:S:1:pos:R:3 pbc="T T T"
Mg 0.0000 0.0000 0.0000
Nb 0.0229 3.2985 5.1415
Nb 2.2595 0.0000 2.0376
P 1.2887 3.2985 1.8183
P 1.3021 0.0000 5.1770
O 0.0901 0.0000 1.9175
O 0.3820 3.2985 3.0637
O 0.5550 3.2985 0.4557
O 0.3331 1.2028 5.2794
O 0.3331 5.3943 5.2794
O 2.1855 2.0200 1.8647
O 2.1855 4.5771 1.8647
O 1.9777 0.0000 6.6002
O 2.3280 0.0000 4.0853
O 2.5178 3.2985 5.1278
```

Values from the calculation:
Size of the total moment: 0.084 μB/atom
Calculated volume: 194 Å³ per cell

Which of them is most stable? Easy: arrangement i.

Arrangement i

# MgAg14Pb6O18

MgAg14Pb6O18 after structural relaxation (PBE-GGA, Materials Project).

```
39
Lattice="8.8963 0.0000 0.0000 2.6340 8.4979 0.0000 2.6399 1.9454 8.3105" Properties=species:S:1:pos:R:3 pbc="T T T"
Mg 0.0000 0.0000 0.0000
Ag 2.6588 5.2474 4.1262
Ag 2.5987 1.9232 4.9111
Ag 3.7028 5.9951 1.3709
Ag 4.8276 3.5662 6.1354
Ag 4.7438 3.5052 2.7399
Ag 7.3939 8.7235 6.8821
Ag 7.3177 5.4023 7.6217
Ag 5.7906 0.9992 4.1265
Ag 6.8930 5.0899 0.6216
Ag 6.8172 1.7733 1.3708
Ag 9.4707 6.9895 5.5105
Ag 9.3919 6.9314 2.1174
Ag 10.5128 4.4916 6.8830
Ag 11.6161 8.5724 3.3429
Pb 1.3351 3.1732 1.3514
Pb 3.9823 7.3168 6.8964
Pb 3.4184 0.3477 1.3527
Pb 6.0596 6.6691 4.1236
Pb 8.1595 1.6501 6.8975
Pb 8.1564 3.8260 4.1237
O 3.5854 5.0885 7.3987
O 1.1126 0.8309 1.3596
O 3.8536 6.9572 4.6327
O 3.5530 2.6297 1.2017
O 6.1920 7.0419 6.3783
O 6.4399 8.8605 3.6228
O 5.6620 6.6447 1.8728
O 5.9117 1.9293 7.3986
O 5.9474 4.3922 4.2676
O 8.2678 6.1028 3.9811
O 8.3120 8.5632 0.8439
O 8.5508 3.8426 6.3785
O 7.7769 1.6344 4.6332
O 8.0163 3.4543 1.8721
O 10.6690 7.8721 7.0458
O 10.3620 3.5381 3.6207
O 13.0937 9.6577 6.8919
O 10.6296 5.4143 0.8431
```

Values from the calculation:
Size of the total moment: 0.000 μB/atom
Calculated volume: 628 Å³ per cell

Arrangement ii

# MgAg14Pb6O18

MgAg14Pb6O18 after structural relaxation (PBE-GGA, Materials Project).

```
39
Lattice="8.8144 0.0000 0.0000 2.6264 8.4823 0.0000 2.9506 1.9981 8.3300" Properties=species:S:1:pos:R:3 pbc="T T T"
Mg 0.0000 0.0000 0.0000
Ag 1.5151 2.0610 1.0614
Ag 5.0261 7.4011 5.5148
Ag 3.6352 3.0701 2.4747
Ag 6.1044 4.8754 7.0273
Ag 5.9486 8.0123 2.7806
Ag 5.8323 4.7793 3.5528
Ag 4.1610 0.3813 0.0489
Ag 8.0880 6.3195 4.7323
Ag 8.0197 3.1325 5.4862
Ag 10.2581 7.8657 6.0289
Ag 8.8891 3.9734 2.7294
Ag 12.1081 9.6209 6.9468
Ag 12.7806 6.8366 8.2542
Ag 10.1388 1.4253 4.0389
Pb 4.7714 1.6442 5.6127
Pb 4.5851 5.9301 0.0135
Pb 6.5483 3.1688 0.0095
Pb 6.6853 0.9383 2.6884
Pb 11.3386 6.6736 2.7268
Pb 11.4817 4.4928 5.5563
O 2.6246 2.1475 6.2802
O 2.3598 6.4785 0.4271
O 4.7317 6.3350 2.2229
O 5.0001 3.9067 5.4912
O 7.6700 10.2087 7.9439
O 7.0249 7.9271 6.1313
O 4.3398 3.7043 0.2821
O 4.5097 1.2117 3.3599
O 9.6303 7.3852 8.1016
O 6.9344 1.3772 4.9284
O 6.9604 3.1716 2.2273
O 6.2833 0.8979 0.4208
O 9.1940 4.7831 6.1488
O 9.2315 7.2404 3.0141
O 11.6946 4.9728 7.8718
O 11.4957 8.9182 2.0753
O 11.9060 6.7936 4.8800
O 10.8970 4.5425 3.1649
```

Values from the calculation:
Size of the total moment: 0.000 μB/atom
Calculated volume: 623 Å³ per cell

Which of them is most stable? Easy: arrangement i.

Arrangement i

# Ca2Ti2O5

Ca2Ti2O5 after structural relaxation (PBE-GGA, Materials Project).

```
18
Lattice="5.3514 0.0000 0.0000 0.0000 10.5766 0.0000 0.0000 0.0000 3.9431" Properties=species:S:1:pos:R:3 pbc="T T T"
Ca 1.2507 1.2394 0.0000
Ca 1.4250 6.5277 0.0000
Ca 3.9264 4.0489 0.0000
Ca 4.1006 9.3372 0.0000
Ti 1.1977 3.9385 1.9716
Ti 1.4779 9.2268 1.9716
Ti 3.8734 1.3498 1.9716
Ti 4.1536 6.6381 1.9716
O 0.0000 0.0000 1.9716
O 0.5685 7.5341 1.9716
O 1.0938 4.1010 0.0000
O 1.5819 9.3893 0.0000
O 2.1072 2.2458 1.9716
O 2.6757 5.2883 1.9716
O 3.2442 8.3309 1.9716
O 3.7695 1.1873 0.0000
O 4.2575 6.4756 0.0000
O 4.7829 3.0426 1.9716
```

Values from the calculation:
Size of the total moment: 0.000 μB/atom
Calculated volume: 223 Å³ per cell

Arrangement ii

# Ca2Ti2O5

Ca2Ti2O5 after structural relaxation (PBE-GGA, Materials Project).

```
18
Lattice="-7.6483 2.8266 2.7470 7.6483 -2.8266 2.7470 7.6483 2.8266 -2.7470" Properties=species:S:1:pos:R:3 pbc="T T T"
Ca 1.6536 0.1505 0.0000
Ca 5.9946 0.1505 0.0000
Ca 1.6536 2.6761 2.7470
Ca 5.9946 2.6761 2.7470
Ti 3.8241 -0.2872 2.9583
Ti 0.0000 0.0000 2.7023
Ti 7.6483 0.0000 2.7023
Ti 3.8241 3.1138 0.2113
O 11.4724 0.7417 -0.6213
O 2.0550 2.5006 -0.1054
O 5.5933 2.5006 -0.1054
O -0.1808 1.4217 1.3357
O 7.8291 1.4217 1.3357
O 2.0550 0.3260 2.6415
O 5.5933 0.3260 2.6415
O -3.8241 2.0849 2.1257
O 0.1808 4.2315 1.3357
O -0.1808 1.4049 4.0826
```

Values from the calculation:
Size of the total moment: 0.212 μB/atom
Calculated volume: 238 Å³ per cell

Which of them is most stable? Easy: arrangement i.